A relaxed CsMg6CO8 crystal. Source: Materials Project, functional GGA-PBE.

Unit cell a=4.575 b=4.575 c=8.839 alpha=90.00 beta=90.00 gamma=90.00
Sites, in units of the cell vectors:
Cs 0.000 0.000 0.000
Mg 0.500 0.500 0.000
Mg 0.500 0.500 0.500
Mg 0.000 0.500 0.272
Mg 0.000 0.500 0.728
Mg 0.500 0.000 0.272
Mg 0.500 0.000 0.728
C 0.000 0.000 0.500
O 0.000 0.000 0.293
O 0.000 0.000 0.707
O 0.500 0.500 0.253
O 0.500 0.500 0.747
O 0.000 0.500 0.000
O 0.000 0.500 0.500
O 0.500 0.000 0.000
O 0.500 0.000 0.500

E (eV/atom): -5.1078
Symmetry: P4/mmm (123)
Offset from the most stable computed form (eV/atom): 0.022
Energy of formation (eV per atom): -1.74